Compound: CsV3Te2O12
Source: the Materials Project
Functional: GGA+U
Structure: relaxed

Lattice parameters (Å, degrees): 7.2752 7.2752 11.8696 90.00 90.00 120.00
Atoms (fractional coordinates):
Cs1 0.6667 0.3333 0.5143
Cs2 0.3333 0.6667 0.0143
V1 0.8702 0.2042 0.8352
V2 0.7958 0.6660 0.8352
V3 0.6660 0.8702 0.3352
V4 0.3340 0.1298 0.8352
V5 0.2042 0.3340 0.3352
V6 0.1298 0.7958 0.3352
Te1 0.3333 0.6667 0.5745
Te2 0.6667 0.3333 0.0745
Te3 0.0000 0.0000 0.6017
Te4 0.0000 0.0000 0.1017
O1 0.1882 0.4004 0.5001
O2 0.1295 0.8822 0.8671
O3 0.8566 0.1209 0.6819
O4 0.9149 0.4547 0.8145
O5 0.8791 0.7357 0.6819
O6 0.8118 0.5996 0.0001
O7 0.4004 0.2122 0.0001
O8 0.2122 0.8118 0.5001
O9 0.7878 0.1882 0.0001
O10 0.1178 0.2474 0.8671
O11 0.0851 0.5453 0.3145
O12 0.5453 0.4603 0.8145
O13 0.7526 0.8705 0.8671
O14 0.2474 0.1295 0.3671
O15 0.4547 0.5397 0.3145
O16 0.8822 0.7526 0.3671
O17 0.5397 0.0851 0.8145
O18 0.4603 0.9149 0.3145
O19 0.1434 0.8791 0.1819
O20 0.7357 0.8566 0.1819
O21 0.2643 0.1434 0.6819
O22 0.5996 0.7878 0.5001
O23 0.1209 0.2643 0.1819
O24 0.8705 0.1178 0.3671

## Properties
Space group: No. 173
Magnetic moment, μB per cell: 0.00
Calculated total energy, eV for the cell shown: -235.2
Formation energy from the elements, eV per atom: -2.0626
Calculated volume, Å³ per atom: 15.1
ρ, g/cm3: 4.5


Compound: Cs2TiW3O12
Source: the Materials Project
Functional: GGA+U
Structure: relaxed

Lattice parameters (Å, degrees): 7.3481 7.3481 7.3481 60.59 60.59 60.59
Atoms (fractional coordinates):
Cs1 0.6334 0.6334 0.6334
Cs2 0.3666 0.3666 0.3666
Ti1 0.0000 0.0000 0.0000
W1 0.5000 0.0000 0.0000
W2 0.0000 0.0000 0.5000
W3 0.0000 0.5000 0.0000
O1 0.9406 0.3124 0.3124
O2 0.3124 0.9412 0.9412
O3 0.3124 0.3124 0.9406
O4 0.9412 0.9412 0.3124
O5 0.9412 0.3124 0.9412
O6 0.3124 0.9406 0.3124
O7 0.0594 0.6876 0.6876
O8 0.6876 0.0588 0.0588
O9 0.6876 0.6876 0.0594
O10 0.0588 0.0588 0.6876
O11 0.0588 0.6876 0.0588
O12 0.6876 0.0594 0.6876

## Properties
Space group: No. 166
Calculated total energy, eV for the cell shown: -131.5
Formation energy from the elements, eV per atom: -2.5085
Calculated volume, Å³ per atom: 15.8
ρ, g/cm3: 6.2


> Which value of formation energy from the elements does entry 2 give?

-2.5085 eV per atom